Material: Li5SbS
Method: DFT, PBE
State: relaxed

The structure in POSCAR format:
```
Li5SbS
1.0
8.725 0.000 0.000
0.000 6.256 0.000
0.000 0.232 9.070
Li S Sb
20 4 4
direct
0.751 0.188 0.212 Li
0.748 0.935 0.489 Li
0.028 0.716 0.526 Li
0.022 0.772 0.004 Li
0.296 0.196 0.220 Li
0.251 0.812 0.788 Li
0.522 0.228 0.996 Li
0.523 0.770 0.039 Li
0.988 0.277 0.506 Li
0.796 0.804 0.780 Li
0.488 0.723 0.494 Li
0.756 0.707 0.257 Li
0.027 0.450 0.210 Li
0.781 0.279 0.736 Li
0.528 0.284 0.474 Li
0.248 0.065 0.511 Li
0.281 0.721 0.264 Li
0.527 0.550 0.790 Li
0.256 0.293 0.743 Li
0.023 0.230 0.961 Li
0.025 0.023 0.725 S
0.762 0.528 0.511 S
0.262 0.472 0.489 S
0.525 0.977 0.275 S
0.519 0.012 0.724 Sb
0.274 0.503 0.002 Sb
0.774 0.497 0.998 Sb
0.019 0.988 0.276 Sb
```

- energy above the most stable polymorph in this dataset (kJ/mol of formula units) = 28
- corrected total energy (MP2020 scheme) (eV for the cell shown) = -96.9
- E_tot (eV/f.u.) = -23.7